Entry 1:
Compound: SmMg5Sb4
Source: the Materials Project
Functional: PBE
Structure: relaxed

Computed properties:
symmetry = P-3m1

```
10
Lattice="3.427 2.993 1.060 -3.546 -0.638 2.973 7.402 -10.779 6.514" Properties=species:S:1:pos:R:3 pbc="T T T"
Sm 0.000 0.000 0.000
Mg 1.206 -2.964 4.472
Mg 6.076 -5.460 6.074
Mg 3.701 -5.389 3.257
Mg 4.764 -8.145 7.603
Mg 2.518 -0.279 2.944
Sb -0.303 -0.766 3.144
Sb 7.585 -7.657 7.402
Sb 3.293 -6.003 6.309
Sb 3.989 -2.421 4.238
```

Entry 2:
Compound: Mg14SnSb
Source: the Materials Project
Functional: PBE
Structure: relaxed

Computed properties:
symmetry = P-6m2

```
16
Lattice="-3.456 2.460 -4.781 -1.528 -5.706 2.441 -6.243 4.619 6.889" Properties=species:S:1:pos:R:3 pbc="T T T"
Mg -2.628 -3.767 2.100
Mg -5.746 -1.458 5.547
Mg -3.595 0.313 -1.512
Mg -6.719 2.619 1.932
Mg -4.358 -2.536 -0.293
Mg -7.480 -0.223 3.149
Mg -3.752 1.619 1.381
Mg -6.873 3.928 4.825
Mg -4.526 -1.271 2.618
Mg -7.647 1.038 6.062
Mg -5.458 2.833 -0.978
Mg -8.578 5.142 2.466
Mg -6.244 -0.019 0.232
Mg -9.357 2.284 3.667
Sn -1.866 -0.915 0.878
Sb -4.987 1.395 4.323
```

Entry 3:
Compound: Mg14SnSb
Source: the Materials Project
Functional: PBE
Structure: relaxed

Computed properties:
symmetry = Amm2

```
16
Lattice="6.350 -0.179 0.000 -3.331 5.769 0.000 0.000 0.000 10.344" Properties=species:S:1:pos:R:3 pbc="T T T"
Mg -0.036 1.902 6.465
Mg -1.702 4.786 6.465
Mg 3.138 1.805 1.293
Mg 3.129 1.808 6.465
Mg 1.467 4.699 1.293
Mg 1.465 4.690 6.465
Mg 1.554 0.901 3.890
Mg 1.554 0.901 9.040
Mg -0.108 3.780 3.890
Mg -0.108 3.780 9.040
Mg 4.734 0.811 3.886
Mg 4.734 0.811 9.044
Mg 3.066 3.693 3.896
Mg 3.066 3.693 9.034
Sn -0.060 1.888 1.293
Sb -1.738 4.765 1.293
```

no.,VASP energy (Ry per atom)
1,-0.2517
2,-0.1441
3,-0.1431